Run w
Below is a relaxed MgSn2O4 crystal, with properties calculated at the PBE-GGA level.

Cell: 3.177 10.757 12.090 Å, 90.00 103.46 90.00°
Space group P2_1/c (No. 14)
Symmetry-distinct sites (fractional):
Mg: 0.058 0.161 0.310 x4
Sn: 0.320 0.606 0.576 x4
Sn: 0.411 0.619 0.888 x4
O: 0.163 0.524 0.403 x4
O: 0.215 0.226 0.963 x4
O: 0.418 0.551 0.161 x4
O: 0.457 0.706 0.732 x4

Calculated values
Total magnetic moment = 0.0 μB per cell



Run x
Below is a relaxed MgSn2O4 crystal, with properties calculated at the PBE-GGA level.

Cell: 6.360 7.033 8.964 Å, 90.00 90.00 90.00°
Space group Imma (No. 74)
Symmetry-distinct sites (fractional):
Mg: 0.000 0.000 0.000 x4
Sn: 0.000 0.250 0.365 x4
Sn: 0.250 0.250 0.750 x4
O: 0.000 0.052 0.765 x8
O: 0.227 0.250 0.984 x8

Calculated values
Total magnetic moment = 0.0 μB per cell



Most stable one: run x, least stable one: run w.



Run w
Below is a relaxed Ca2SnS4 crystal, with properties calculated at the PBE-GGA level.

Cell: 11.295 11.295 11.295 Å, 90.00 90.00 90.00°
Space group Fd-3m (No. 227, origin choice 2)
Symmetry-distinct sites (fractional):
Ca: 0.000 0.000 0.000 x16
Sn: 0.125 0.125 0.625 x8
S: 0.000 0.000 0.250 x32

Calculated values
Total magnetic moment = 0.0 μB per cell



Run x
Below is a relaxed Ca2SnS4 crystal, with properties calculated at the PBE-GGA level.

Cell: 7.019 8.657 12.804 Å, 90.00 114.27 90.00°
Space group P2_1/c (No. 14)
Symmetry-distinct sites (fractional):
Ca: 0.021 0.004 0.311 x4
Ca: 0.275 0.632 0.563 x4
Sn: 0.368 0.219 0.582 x4
S: 0.114 0.142 0.130 x4
S: 0.261 0.542 0.046 x4
S: 0.276 0.734 0.778 x4
S: 0.302 0.147 0.904 x4

Calculated values
Total magnetic moment = 0.0 μB per cell



Most stable one: run w, least stable one: run x.



Run w
Below is a relaxed Tl3Si crystal, with properties calculated at the PBE-GGA level.

Cell: 4.784 4.784 4.784 Å, 90.00 90.00 90.00°
Space group Pm-3m (No. 221)
Symmetry-distinct sites (fractional):
Tl: 0.000 0.000 0.500 x3
Si: 0.500 0.500 0.500 x1

Calculated values
Total magnetic moment = 0.0 μB per cell



Run x
Below is a relaxed Tl3Si crystal, with properties calculated at the PBE-GGA level.

Cell: 7.605 7.605 7.605 Å, 90.00 90.00 90.00°
Space group Fm-3m (No. 225)
Symmetry-distinct sites (fractional):
Tl: 0.000 0.000 0.000 x4
Tl: 0.250 0.250 0.250 x8
Si: 0.000 0.000 0.500 x4

Calculated values
Total magnetic moment = 0.0 μB per cell



Most stable one: run x, least stable one: run w.



Run w
Below is a relaxed Ge crystal, with properties calculated at the PBE-GGA level.

Cell: 4.992 5.302 2.874 Å, 90.00 90.00 90.00°
Space group Imma (No. 74)
Symmetry-distinct sites (fractional):
Ge: 0.000 0.250 0.064 x4

Calculated values
Total magnetic moment = 0.0 μB per cell



Run x
Below is a relaxed Ge crystal, with properties calculated at the PBE-GGA level.

Cell: 6.027 6.027 7.106 Å, 90.00 90.00 90.00°
Space group P4_32_12 (No. 96)
Symmetry-distinct sites (fractional):
Ge: 0.088 0.088 0.000 x4
Ge: 0.130 0.671 0.003 x8

Calculated values
Maximum piezoelectric response = 0.2 C/m²
Total magnetic moment = 0.0 μB per cell



Most stable one: run x, least stable one: run w.



Run w
Below is a relaxed Ge crystal, with properties calculated at the PBE-GGA level.

Cell: 4.284 4.284 4.284 Å, 90.00 90.00 90.00°
Space group Fm-3m (No. 225)
Symmetry-distinct sites (fractional):
Ge: 0.000 0.000 0.000 x4

Calculated values
Total magnetic moment = 0.0 μB per cell



Run x
Below is a relaxed Ge crystal, with properties calculated at the PBE-GGA level.

Cell: 15.454 15.454 15.454 Å, 90.00 90.00 90.00°
Space group Fd-3m (No. 227, origin choice 2)
Symmetry-distinct sites (fractional):
Ge: 0.033 0.033 0.217 x32
Ge: 0.067 0.067 0.370 x96
Ge: 0.125 0.125 0.125 x8



Run y
Below is a relaxed Ge crystal, with properties calculated at the PBE-GGA level.

Cell: 15.620 15.620 15.620 Å, 90.00 90.00 90.00°
Space group Fd-3m (No. 227, origin choice 2)
Symmetry-distinct sites (fractional):
Ge: 0.021 0.021 0.229 x32
Ge: 0.066 0.066 0.870 x96
Ge: 0.125 0.125 0.125 x8

Calculated values
Total magnetic moment = 0.0 μB per cell



Most stable one: run x, least stable one: run w.



Run w
Below is a relaxed PtBr3N2 crystal, with properties calculated at the PBE-GGA level.

Cell: 11.189 14.171 16.560 Å, 90.00 90.00 90.00°
Space group Fddd (No. 70, origin choice 2)
Symmetry-distinct sites (fractional):
Pt: 0.125 0.125 0.125 x8
Pt: 0.125 0.125 0.625 x8
Br: 0.105 0.375 0.375 x16
Br: 0.125 0.125 0.279 x16
Br: 0.125 0.125 0.473 x16
N: 0.125 0.252 0.625 x16
N: 0.125 0.255 0.125 x16

Calculated values
Total magnetic moment = 32.0 μB per cell



Run x
Below is a relaxed PtBr3N2 crystal, with properties calculated at the PBE-GGA level.

Cell: 8.717 8.837 13.580 Å, 90.00 90.00 90.00°
Space group Pmmn (No. 59, origin choice 2)
Symmetry-distinct sites (fractional):
Pt: 0.250 0.250 0.124 x2
Pt: 0.250 0.250 0.625 x2
Br: 0.033 0.750 0.875 x4
Br: 0.036 0.750 0.375 x4
Br: 0.250 0.250 0.306 x2
Br: 0.250 0.250 0.943 x2
N: 0.250 0.020 0.127 x4
N: 0.250 0.047 0.625 x4

Calculated values
Total magnetic moment = 16.0 μB per cell



Most stable one: run w, least stable one: run x.